# 1
The following is a GGA+U calculation of a relaxed structure of Na2TlCoF6, from the Materials Project.

Lattice parameters (Å, degrees): 6.1955 6.1954 6.1955 60.00 60.00 60.00
Positions (direct):
Na1 0.2500 0.2500 0.2500
Na2 0.7500 0.7500 0.7500
Tl1 0.5000 0.5000 0.5000
Co1 0.0000 0.0000 0.0000
F1 0.2137 0.7863 0.2137
F2 0.7863 0.7863 0.2137
F3 0.7863 0.2137 0.7863
F4 0.7863 0.2137 0.2137
F5 0.2137 0.7863 0.7863
F6 0.2137 0.2137 0.7863

Output
Space-group type: No. 225


# 2
The following is a GGA+U calculation of a relaxed structure of NaMn2Si3BH2O11, from the Materials Project.

Lattice parameters (Å, degrees): 6.9212 7.6355 9.0210 100.29 102.32 102.71
Positions (direct):
Na1 0.1126 0.3513 0.1852
Na2 0.8874 0.6487 0.8148
Mn1 0.8707 0.1245 0.3903
Mn2 0.1293 0.8755 0.6097
Mn3 0.3810 0.1305 0.4016
Mn4 0.6190 0.8695 0.5984
Si1 0.2689 0.4716 0.6171
Si2 0.7311 0.5284 0.3829
Si3 0.5384 0.2568 0.7839
Si4 0.4616 0.7432 0.2161
Si5 0.9826 0.2589 0.7726
Si6 0.0174 0.7411 0.2274
B1 0.2781 0.1270 0.9668
B2 0.7219 0.8730 0.0332
H1 0.7028 0.1373 0.0836
H2 0.2972 0.8627 0.9164
H3 0.4526 0.2379 0.1827
H4 0.5474 0.7621 0.8173
O1 0.5596 0.9221 0.3642
O2 0.4404 0.0779 0.6358
O3 0.1873 0.3145 0.4524
O4 0.8127 0.6855 0.5476
O5 0.4775 0.2142 0.9404
O6 0.5225 0.7858 0.0596
O7 0.9139 0.0778 0.6278
O8 0.0861 0.9222 0.3722
O9 0.1263 0.2278 0.9265
O10 0.8737 0.7722 0.0735
O11 0.6734 0.3146 0.3957
O12 0.3266 0.6854 0.6043
O13 0.0921 0.4441 0.7180
O14 0.9079 0.5559 0.2820
O15 0.7913 0.3210 0.8287
O16 0.2087 0.6790 0.1713
O17 0.4755 0.4378 0.7308
O18 0.5245 0.5622 0.2692
O19 0.8034 0.0716 0.1245
O20 0.1966 0.9284 0.8755
O21 0.3216 0.1418 0.1396
O22 0.6784 0.8582 0.8604

Output
Space-group type: No. 2


# 3
The following is a GGA+U calculation of a relaxed structure of V3FeCo2P6O24, from the Materials Project.

Lattice parameters (Å, degrees): 8.5061 8.5061 8.5061 60.95 60.95 60.95
Positions (direct):
V1 0.6431 0.6431 0.6431
V2 0.8573 0.8573 0.8573
V3 0.3577 0.3577 0.3577
Fe1 0.1442 0.1442 0.1442
Co1 0.0010 0.0010 0.0010
Co2 0.5002 0.5002 0.5002
P1 0.9560 0.2492 0.5441
P2 0.5441 0.9560 0.2492
P3 0.2492 0.5441 0.9560
P4 0.7507 0.4576 0.0422
P5 0.4576 0.0422 0.7507
P6 0.0422 0.7507 0.4576
O1 0.5103 0.1144 0.3075
O2 0.3075 0.5103 0.1144
O3 0.1144 0.3075 0.5103
O4 0.9357 0.0861 0.7428
O5 0.9883 0.1901 0.3858
O6 0.7571 0.4123 0.5652
O7 0.7428 0.9357 0.0861
O8 0.5652 0.7571 0.4123
O9 0.8173 0.6182 0.9982
O10 0.4123 0.5652 0.7571
O11 0.9112 0.2627 0.0507
O12 0.6182 0.9982 0.8173
O13 0.3858 0.9883 0.1901
O14 0.0861 0.7428 0.9357
O15 0.5914 0.4478 0.2375
O16 0.1901 0.3858 0.9883
O17 0.4478 0.2375 0.5914
O18 0.2627 0.0507 0.9112
O19 0.2375 0.5914 0.4478
O20 0.9982 0.8173 0.6182
O21 0.0507 0.9112 0.2627
O22 0.8827 0.6813 0.5025
O23 0.6813 0.5025 0.8827
O24 0.5025 0.8827 0.6813

Output
Space-group type: No. 146


M_tot, record by record: 0.00 0.50 0.40 μB per atom
ΔH_f (0 K), record by record: -2.307 -2.612 -2.410 eV per atom
V, record by record: 16.8 11.0 12.3 A^3/atom